Record 1
Here is TiTlWO5F after structural relaxation from Materials Project. Energies are from PBE+U.

Unit cell a=7.3678 b=10.2516 c=7.4775 alpha=90.00 beta=90.00 gamma=90.00
Last column: nearest neighbours and their distance in Å.
Space group Ima2 (No. 46)
One atom of each set of equivalent atoms:
Ti1 0.2500 0.2348 0.0000  4 O 1.84-2.03, 2 F 2.00-2.01
Tl1 0.2500 0.6461 0.6570  4 O 2.84-3.11
W1 0.0000 0.0000 0.7363  6 O 1.85-2.03
O1 0.0646 0.1227 0.9400  1 Ti 1.84, 1 W 2.03
O2 0.0659 0.1279 0.5737  1 W 1.85, 1 Ti 2.03
O3 0.2500 0.5664 0.2561  2 W 1.97
F1 0.2500 0.1814 0.2577  2 Ti 2.00-2.01

Properties
Piezoelectric modulus e_max, C/m²: 5.859
MP2020-corrected energy, eV per atom: -8.129

Record 2
Here is VOF3 after structural relaxation from Materials Project. Energies are from PBE+U.

Unit cell a=5.3598 b=5.3598 c=9.2123 alpha=90.00 beta=90.00 gamma=90.00
Last column: nearest neighbours and their distance in Å.
Space group P4_1 (No. 76)
One atom of each set of equivalent atoms:
V1 0.0794 0.6104 0.0000  1 O 1.58, 1 F 1.77
O1 0.1718 0.4251 0.5879  1 V 1.58
F1 0.0695 0.1860 0.3423  2 V 1.98-2.00
F2 0.0737 0.3544 0.8795  1 V 1.77
F3 0.2972 0.4484 0.1211  1 V 1.83

Properties
Piezoelectric modulus e_max, C/m²: 1.338
MP2020-corrected energy, eV per atom: -6.642

Record 3
Here is VOF2 after structural relaxation from Materials Project. Energies are from PBE+U.

Unit cell a=5.2371 b=5.3794 c=12.8087 alpha=90.81 beta=91.29 gamma=118.60
Last column: nearest neighbours and their distance in Å.
Space group P-1 (No. 2)
One atom of each set of equivalent atoms:
V1 0.0000 0.0000 0.0000  2 O 1.96, 4 F 1.97-1.99
V2 0.0000 0.0000 0.5000  2 O 1.95, 4 F 1.95-2.04
V3 0.3272 0.6901 0.1617  1 O 1.68
V4 0.3312 0.6110 0.6642  2 O 1.68-1.70
O1 0.0943 0.3394 0.5845  1 V 1.70
O2 0.1962 0.8034 0.0626  1 V 1.68
O3 0.4786 0.5306 0.2792  1 V 1.68
F1 0.0687 0.5359 0.7773  2 V 1.93-2.02
F2 0.1365 0.8526 0.6146  2 V 1.95-2.10
F3 0.2685 0.1213 0.8816  2 V 1.96-1.99
F4 0.2683 0.3436 0.0821  2 V 1.97-2.00
F5 0.4097 0.0067 0.2566  2 V 1.94-2.08
F6 0.4108 0.2009 0.4456  2 V 1.91-2.04

Properties
MP2020-corrected energy, eV per atom: -7.300

Record 4
Here is V2OF5 after structural relaxation from Materials Project. Energies are from PBE+U.

Unit cell a=5.2778 b=5.4687 c=11.6702 alpha=79.41 beta=77.02 gamma=89.99
Last column: nearest neighbours and their distance in Å.
Space group P1 (No. 1)
One atom of each set of equivalent atoms:
V1 0.0000 0.0000 0.0000  1 O 1.69
V2 0.1433 0.1640 0.6728  1 O 1.67
V3 0.3284 0.3379 0.3248  6 F 1.95-1.99
V4 0.4990 0.5087 0.9831  6 F 1.97-1.98
V5 0.6604 0.6808 0.6386  1 O 1.68
V6 0.8310 0.8401 0.3198  4 F 1.95-1.99, 2 O 1.98
O1 0.0016 0.0917 0.8188  1 V 1.67
O2 0.6624 0.7518 0.4926  1 V 1.68
O3 0.9984 0.9274 0.1470  1 V 1.69
F1 0.0089 0.1211 0.3550  2 V 1.95-1.99
F2 0.1197 0.6249 0.3530  2 V 1.95-1.99
F3 0.2133 0.7246 0.9508  2 V 1.97
F4 0.3129 0.4233 0.1533  2 V 1.98-1.99
F5 0.3155 0.2201 0.9519  2 V 1.97-1.98
F6 0.3329 0.2515 0.4962  2 V 1.97-2.05
F7 0.3471 0.4580 0.6866  2 V 1.97-1.99
F8 0.4478 0.9576 0.6861  2 V 1.97-1.98
F9 0.5411 0.0564 0.2902  2 V 1.95-1.99
F10 0.6503 0.5559 0.2889  2 V 1.95-1.99
F11 0.6755 0.5943 0.8121  2 V 1.97-2.01
F12 0.6813 0.7969 0.0148  2 V 1.97-1.98
F13 0.7825 0.2926 0.0162  2 V 1.97-1.98
F14 0.8803 0.3873 0.6227  2 V 1.96-1.99
F15 0.9793 0.8893 0.6232  2 V 1.97-1.99

Properties
MP2020-corrected energy, eV per atom: -7.124

Record 5
Here is V2O3F after structural relaxation from Materials Project. Energies are from PBE+U.

Unit cell a=15.0549 b=6.4112 c=6.9434 alpha=90.00 beta=90.00 gamma=90.00
Last column: nearest neighbours and their distance in Å.
Space group Amm2 (No. 38)
One atom of each set of equivalent atoms:
V1 0.0000 0.0000 0.0000  5 O 1.78-1.97
V2 0.1000 0.0000 0.4511  4 O 1.98-2.02, 2 F 2.04
V3 0.1997 0.0000 0.9014  5 O 1.78-1.97
V4 0.3002 0.0000 0.4494  4 O 1.97-2.03, 2 F 2.04-2.05
V5 0.3995 0.0000 0.9954  5 O 1.79-1.97
V6 0.5000 0.0000 0.4449  4 O 1.97-2.01, 2 F 2.06
O1 0.0000 0.0000 0.2569  1 V 1.78
O2 0.0999 0.1917 0.9512  3 V 1.97-1.98
O3 0.2002 0.0000 0.6449  1 V 1.78
O4 0.2996 0.1921 0.9488  3 V 1.97
O5 0.3997 0.0000 0.2528  1 V 1.79
O6 0.5000 0.1928 0.9548  3 V 1.97
F1 0.0000 0.0000 0.6499  2 V 2.04
F2 0.2001 0.0000 0.2521  2 V 2.04
F3 0.4005 0.0000 0.6486  2 V 2.05-2.06

Properties
MP2020-corrected energy, eV per atom: -8.487

Record 6
Here is VOF2 after structural relaxation from Materials Project. Energies are from PBE+U.

Unit cell a=5.1860 b=5.3877 c=11.8552 alpha=100.69 beta=102.36 gamma=90.69
Last column: nearest neighbours and their distance in Å.
Space group P1 (No. 1)
One atom of each set of equivalent atoms:
V1 0.0000 0.0000 0.0000  1 O 1.67
V2 0.1547 0.1707 0.3263  1 O 1.67
V3 0.3261 0.3222 0.6649  1 O 1.68
V4 0.4880 0.5026 0.9933  1 O 1.67
V5 0.6665 0.6644 0.3318  1 O 1.67
V6 0.8254 0.7870 0.6599  1 O 1.69
O1 0.0646 0.5863 0.6378  1 V 1.69
O2 0.2646 0.1985 0.0248  1 V 1.67
O3 0.3299 0.4138 0.3050  1 V 1.67
O4 0.5875 0.5274 0.6858  1 V 1.68
O5 0.6629 0.7458 0.9720  1 V 1.67
O6 0.9296 0.8635 0.3527  1 V 1.67
F1 0.1852 0.6938 0.0312  2 V 1.97
F2 0.2859 0.3891 0.8298  2 V 1.98
F3 0.3121 0.2038 0.4952  2 V 1.97-1.98
F4 0.3982 0.9054 0.2887  2 V 1.97
F5 0.5272 0.0240 0.6920  2 V 1.96-2.07
F6 0.6223 0.7320 0.4956  2 V 1.97
F7 0.6454 0.5332 0.1628  2 V 1.98
F8 0.7322 0.2399 0.9572  2 V 1.96
F9 0.8554 0.3627 0.3678  2 V 1.97
F10 0.9471 0.0662 0.1630  2 V 1.98
F11 0.9752 0.8897 0.8302  2 V 1.97
F12 0.9977 0.0915 0.6335  2 V 1.97-2.02

Properties
MP2020-corrected energy, eV per atom: -7.317

> Which formula does entry 5 have?

V2O3F

> Which of these has the lowest MP2020-corrected energy?

V2O3F

> What is the MP2020-corrected energy in the fifth record?

-8.487 eV per atom